# 1
Crystalline Na2CuSe2O10 at its relaxed geometry, computed with PBE.

abc: 5.604 6.551 7.180
angles: 102.31 103.64 113.20
Fractional positions:
Na: 0.163 0.287 0.237
Na: 0.837 0.713 0.763
Cu: 0.500 0.000 0.500
Se: 0.139 0.351 0.737
Se: 0.861 0.649 0.263
O: 0.078 0.148 0.856
O: 0.165 0.747 0.471
O: 0.210 0.611 0.886
O: 0.374 0.015 0.257
O: 0.374 0.357 0.631
O: 0.626 0.643 0.369
O: 0.626 0.985 0.743
O: 0.790 0.389 0.114
O: 0.835 0.253 0.529
O: 0.922 0.852 0.144

Values from the calculation:
As for the density: 3.2 g cm⁻³. As for the energy: -4.839 eV per atom. Its total magnetic moment is 3.0 Bohr magnetons per cell.

# 2
Crystalline Na2Cu3Si4O12 at its relaxed geometry, computed with PBE.

abc: 7.629 10.405 13.726
angles: 90.00 90.00 90.00
Fractional positions:
Na: 0.039 0.250 0.168
Na: 0.188 0.250 0.484
Na: 0.312 0.750 0.984
Na: 0.461 0.750 0.668
Na: 0.539 0.250 0.332
Na: 0.688 0.250 0.016
Na: 0.812 0.750 0.516
Na: 0.961 0.750 0.832
Cu: 0.000 0.000 0.000
Cu: 0.000 0.500 0.000
Cu: 0.234 0.250 0.718
Cu: 0.247 0.750 0.443
Cu: 0.253 0.250 0.943
Cu: 0.266 0.750 0.218
Cu: 0.500 0.000 0.500
Cu: 0.500 0.500 0.500
Cu: 0.734 0.250 0.782
Cu: 0.747 0.750 0.057
Cu: 0.753 0.250 0.557
Cu: 0.766 0.750 0.282
Si: 0.180 0.531 0.624
Si: 0.180 0.969 0.624
Si: 0.221 0.025 0.338
Si: 0.221 0.475 0.338
Si: 0.279 0.525 0.838
Si: 0.279 0.975 0.838
Si: 0.320 0.031 0.124
Si: 0.320 0.469 0.124
Si: 0.680 0.531 0.876
Si: 0.680 0.969 0.876
Si: 0.721 0.025 0.162
Si: 0.721 0.475 0.162
Si: 0.779 0.525 0.662
Si: 0.779 0.975 0.662
Si: 0.820 0.031 0.376
Si: 0.820 0.469 0.376
O: 0.028 0.074 0.380
O: 0.028 0.426 0.380
O: 0.130 0.592 0.904
O: 0.130 0.908 0.904
O: 0.210 0.122 0.619
O: 0.210 0.378 0.619
O: 0.217 0.107 0.035
O: 0.217 0.393 0.035
O: 0.235 0.632 0.330
O: 0.235 0.868 0.330
O: 0.236 0.089 0.227
O: 0.236 0.411 0.227
O: 0.264 0.589 0.727
O: 0.264 0.911 0.727
O: 0.265 0.132 0.830
O: 0.265 0.368 0.830
O: 0.283 0.607 0.535
O: 0.283 0.893 0.535
O: 0.290 0.622 0.119
O: 0.290 0.878 0.119
O: 0.370 0.092 0.404
O: 0.370 0.408 0.404
O: 0.472 0.574 0.880
O: 0.472 0.926 0.880
O: 0.528 0.074 0.120
O: 0.528 0.426 0.120
O: 0.630 0.592 0.596
O: 0.630 0.908 0.596
O: 0.710 0.122 0.881
O: 0.710 0.378 0.881
O: 0.717 0.107 0.465
O: 0.717 0.393 0.465
O: 0.735 0.632 0.170
O: 0.735 0.868 0.170
O: 0.736 0.089 0.273
O: 0.736 0.411 0.273
O: 0.764 0.589 0.773
O: 0.764 0.911 0.773
O: 0.765 0.132 0.670
O: 0.765 0.368 0.670
O: 0.783 0.607 0.965
O: 0.783 0.893 0.965
O: 0.790 0.622 0.381
O: 0.790 0.878 0.381
O: 0.870 0.092 0.096
O: 0.870 0.408 0.096
O: 0.972 0.574 0.620
O: 0.972 0.926 0.620

Values from the calculation:
As for the density: 3.3 g cm⁻³. As for the energy: -6.601 eV per atom. Its total magnetic moment is 4.0 Bohr magnetons per cell.

# 3
Crystalline Na2Cu2TeO6 at its relaxed geometry, computed with PBE.

abc: 5.272 5.272 6.041
angles: 103.55 103.55 112.43
Fractional positions:
Na: 0.184 0.816 0.000
Na: 0.816 0.184 0.000
Cu: 0.335 0.665 0.500
Cu: 0.665 0.335 0.500
Te: 0.000 0.000 0.500
O: 0.025 0.353 0.716
O: 0.243 0.243 0.341
O: 0.353 0.025 0.716
O: 0.647 0.975 0.284
O: 0.757 0.757 0.659
O: 0.975 0.647 0.284

Values from the calculation:
As for the density: 4.7 g cm⁻³. As for the energy: -5.089 eV per atom. Its total magnetic moment is 0.0 Bohr magnetons per cell.

# 4
Crystalline Na2Cu4S3 at its relaxed geometry, computed with PBE.

abc: 8.251 8.251 10.275
angles: 107.57 107.57 26.78
Fractional positions:
Na: 0.168 0.168 0.342
Na: 0.313 0.313 0.157
Na: 0.687 0.687 0.843
Na: 0.832 0.832 0.658
Cu: 0.088 0.088 0.588
Cu: 0.091 0.091 0.008
Cu: 0.474 0.474 0.867
Cu: 0.483 0.483 0.617
Cu: 0.517 0.517 0.383
Cu: 0.526 0.526 0.133
Cu: 0.909 0.909 0.992
Cu: 0.912 0.912 0.412
S: 0.028 0.028 0.772
S: 0.335 0.335 0.886
S: 0.350 0.350 0.454
S: 0.650 0.650 0.546
S: 0.665 0.665 0.114
S: 0.972 0.972 0.228

Values from the calculation:
As for the density: 4.4 g cm⁻³. As for the energy: -3.994 eV per atom. Its total magnetic moment is 0.0 Bohr magnetons per cell.

# 5
Crystalline NaCu4S4 at its relaxed geometry, computed with PBE.

abc: 3.820 3.820 12.156
angles: 90.00 90.00 120.00
Fractional positions:
Na: 0.000 0.000 0.000
Cu: 0.333 0.667 0.189
Cu: 0.333 0.667 0.648
Cu: 0.667 0.333 0.352
Cu: 0.667 0.333 0.811
S: 0.000 0.000 0.413
S: 0.000 0.000 0.587
S: 0.333 0.667 0.841
S: 0.667 0.333 0.159

Values from the calculation:
As for the density: 4.4 g cm⁻³. As for the energy: -4.179 eV per atom.

Question: Look up the energy of the fourth one.
Answer: -3.994 eV per atom

Question: Which formula does entry 2 have?
Answer: Na2Cu3Si4O12

Question: Look up the energy of the first one.
Answer: -4.839 eV per atom

Question: The highest energy belongs to which entry?
Answer: Na2Cu4S3